Li3MnVP3O12: optimized geometry, PBE with a Hubbard U.

Cell: 8.5056 8.5056 8.6160 Å, 61.68 61.68 63.16°
Last column: nearest neighbours and their distance in Å.
Positions (direct):
Li  0.9969  0.5005  0.4988  6 O 2.18-2.30
Li  0.7412  0.8723  0.6586  1 O 1.99
Li  0.5005  0.9969  0.9988  6 O 2.18-2.30
Li  0.2522  0.1285  0.3433  2 O 2.04-2.17
Li  0.8723  0.7412  0.1586  1 O 1.99
Li  0.1285  0.2522  0.8433  2 O 2.04-2.17
P  0.2508  0.4514  0.0355  4 O 1.52-1.58
P  0.0523  0.9465  0.2484  4 O 1.54-1.57
P  0.4514  0.2508  0.5355  4 O 1.52-1.58
P  0.5498  0.7517  0.4654  4 O 1.52-1.57
P  0.7517  0.5498  0.9654  4 O 1.52-1.57
P  0.9465  0.0523  0.7484  4 O 1.54-1.57
O  0.9157  0.5414  0.7759  1 P 1.57
O  0.9772  0.8837  0.7021  1 P 1.55
O  0.6821  0.3859  0.0279  1 P 1.52
O  0.8837  0.9772  0.2021  1 P 1.55
O  0.1871  0.4644  0.8886  1 P 1.54
O  0.2372  0.9355  0.0771  1 P 1.57
O  0.0335  0.1075  0.2971  1 P 1.54
O  0.2566  0.3961  0.5759  1 P 1.55
O  0.3178  0.6160  0.9759  1 P 1.52
O  0.7600  0.0629  0.9168  1 P 1.56
O  0.4529  0.0862  0.7277  1 P 1.58
O  0.3859  0.6821  0.5279  1 P 1.52
O  0.4644  0.1871  0.3886  1 P 1.54
O  0.6160  0.3178  0.4759  1 P 1.52
O  0.3961  0.2566  0.0759  1 P 1.55
O  0.7454  0.6113  0.4249  1 P 1.54
O  0.8148  0.5345  0.1152  1 P 1.55
O  0.5345  0.8148  0.6152  1 P 1.55
O  0.9355  0.2372  0.5771  1 P 1.57
O  0.0862  0.4529  0.2277  1 P 1.58
O  0.0629  0.7600  0.4168  1 P 1.56
O  0.6113  0.7454  0.9249  1 P 1.54
O  0.5414  0.9157  0.2759  1 P 1.57
O  0.1075  0.0335  0.7971  1 P 1.54
V  0.1444  0.6365  0.6447  6 O 1.94-2.08
V  0.6365  0.1444  0.1447  6 O 1.94-2.08
Mn  0.3621  0.8570  0.8503  5 O 1.93-2.12
Mn  0.8570  0.3621  0.3503  5 O 1.93-2.12

Properties
- space-group type = Cc
- ΔE to the lowest computed polymorph (eV per formula unit) = 0.962
- ρ (kg/m³) = 2959
- ΔE_f (eV/atom) = -2.607
- E (eV per formula unit) = -140.12